Entry 1:
Li9Mn7V12O48 | GGA+U | relaxed

Results
E = -531.0 eV/f.u.
energy relative to the elements = -2.21 eV per atom
ΔE to the lowest computed polymorph = 0.0 meV/atom

Unit cell a=5.0293 b=10.2001 c=17.1522 alpha=90.03 beta=90.58 gamma=90.04
Fractional positions:
Li  0.0000  0.0000  0.0000
Li  0.0013  0.3340  0.6715
Li  0.1496  0.5025  0.9524
Li  0.3447  0.0022  0.4502
Li  0.4923  0.9973  0.8967
Li  0.4952  0.8352  0.7332
Li  0.5045  0.6731  0.2288
Li  0.5060  0.3321  0.2284
Li  0.9959  0.4994  0.5091
Mn  0.0056  0.8201  0.1736
Mn  0.0074  0.1848  0.1734
Mn  0.0114  0.6861  0.6784
Mn  0.4510  0.5013  0.4005
Mn  0.4852  0.1874  0.7263
Mn  0.6514  0.5034  0.9504
Mn  0.8447  0.0030  0.4524
V  0.0204  0.0052  0.6452
V  0.0208  0.7249  0.3574
V  0.0228  0.2797  0.3570
V  0.4715  0.7812  0.0461
V  0.4727  0.2242  0.0459
V  0.4727  0.5056  0.7573
V  0.5331  0.2771  0.5438
V  0.5351  0.0024  0.2571
V  0.5361  0.7278  0.5478
V  0.9605  0.2280  0.8546
V  0.9598  0.5023  0.1419
V  0.9638  0.7776  0.8590
O  0.0722  0.0057  0.5431
O  0.0755  0.1303  0.4085
O  0.0760  0.8728  0.4097
O  0.1383  0.1321  0.9127
O  0.1555  0.6468  0.1634
O  0.1566  0.3583  0.1636
O  0.1650  0.8705  0.9156
O  0.1672  0.7401  0.7726
O  0.1726  0.8648  0.0799
O  0.1736  0.1405  0.0792
O  0.1791  0.2610  0.7738
O  0.1835  0.5184  0.6950
O  0.3104  0.0191  0.7057
O  0.3133  0.6378  0.3322
O  0.3138  0.3685  0.3307
O  0.3173  0.7593  0.6261
O  0.3256  0.8718  0.2349
O  0.3266  0.1336  0.2350
O  0.3344  0.2415  0.6272
O  0.3340  0.3772  0.4844
O  0.3526  0.6266  0.4881
O  0.4201  0.5054  0.8582
O  0.4206  0.3746  0.9962
O  0.4231  0.6288  0.9971
O  0.6119  0.1297  0.4932
O  0.6125  0.8729  0.4972
O  0.6154  0.0012  0.3563
O  0.6440  0.1270  0.9886
O  0.6479  0.3612  0.7347
O  0.6536  0.8787  0.9923
O  0.6670  0.1417  0.8206
O  0.6858  0.7544  0.1282
O  0.6889  0.2499  0.1276
O  0.6952  0.6287  0.7333
O  0.6953  0.8652  0.8304
O  0.6970  0.5026  0.2012
O  0.8020  0.1290  0.6686
O  0.8040  0.3616  0.5714
O  0.8152  0.3776  0.4065
O  0.8181  0.6266  0.4093
O  0.8234  0.6430  0.5801
O  0.8308  0.0025  0.1922
O  0.8429  0.7674  0.2717
O  0.8444  0.2372  0.2712
O  0.8472  0.8605  0.6668
O  0.8749  0.5009  0.0426
O  0.8806  0.3738  0.9046
O  0.8814  0.6285  0.9088

Entry 2:
DyCuMo2O8 | GGA+U | relaxed

Results
E = -85.4 eV/f.u.
energy relative to the elements = -2.28 eV per atom

Unit cell a=9.8839 b=14.7167 c=10.2820 alpha=90.00 beta=90.00 gamma=90.00
Fractional positions:
Dy  0.2215  0.1038  0.0345
Dy  0.2215  0.3962  0.5345
Dy  0.2785  0.6038  0.0345
Dy  0.2785  0.8962  0.5345
Dy  0.7215  0.1038  0.4655
Dy  0.7215  0.3962  0.9655
Dy  0.7785  0.6038  0.4655
Dy  0.7785  0.8962  0.9655
Cu  0.1881  0.1976  0.6832
Cu  0.1881  0.3024  0.1832
Cu  0.3119  0.6976  0.6832
Cu  0.3119  0.8024  0.1832
Cu  0.6881  0.1976  0.8168
Cu  0.6881  0.3024  0.3168
Cu  0.8119  0.6976  0.8168
Cu  0.8119  0.8024  0.3168
Mo  0.0006  0.0569  0.7189
Mo  0.0006  0.4431  0.2189
Mo  0.1673  0.6530  0.3970
Mo  0.1673  0.8470  0.8970
Mo  0.3327  0.1530  0.3970
Mo  0.3327  0.3470  0.8970
Mo  0.4994  0.5569  0.7189
Mo  0.4994  0.9431  0.2189
Mo  0.5006  0.0569  0.7811
Mo  0.5006  0.4431  0.2811
Mo  0.6673  0.6530  0.1030
Mo  0.6673  0.8470  0.6030
Mo  0.8327  0.1530  0.1030
Mo  0.8327  0.3470  0.6030
Mo  0.9994  0.5569  0.7811
Mo  0.9994  0.9431  0.2811
O  0.0108  0.1686  0.0882
O  0.0108  0.3314  0.5882
O  0.0995  0.5224  0.1287
O  0.0995  0.9776  0.6287
O  0.1041  0.6233  0.8882
O  0.1041  0.8767  0.3882
O  0.1072  0.0028  0.1715
O  0.1072  0.4972  0.6715
O  0.1085  0.1327  0.8210
O  0.1085  0.3673  0.3210
O  0.2055  0.5369  0.4273
O  0.2055  0.9631  0.9273
O  0.2240  0.6795  0.2333
O  0.2240  0.8205  0.7333
O  0.2437  0.2285  0.5109
O  0.2437  0.2715  0.0109
O  0.2563  0.7285  0.5109
O  0.2563  0.7715  0.0109
O  0.2760  0.1795  0.2333
O  0.2760  0.3205  0.7333
O  0.2945  0.0369  0.4273
O  0.2945  0.4631  0.9273
O  0.3915  0.6327  0.8210
O  0.3915  0.8673  0.3210
O  0.3928  0.5028  0.1715
O  0.3928  0.9972  0.6715
O  0.3959  0.1233  0.8882
O  0.3959  0.3767  0.3882
O  0.4005  0.0224  0.1287
O  0.4005  0.4776  0.6287
O  0.4892  0.6686  0.0882
O  0.4892  0.8314  0.5882
O  0.5108  0.1686  0.4118
O  0.5108  0.3314  0.9118
O  0.5995  0.5224  0.3713
O  0.5995  0.9776  0.8713
O  0.6041  0.6233  0.6118
O  0.6041  0.8767  0.1118
O  0.6072  0.0028  0.3285
O  0.6072  0.4972  0.8285
O  0.6085  0.1327  0.6790
O  0.6085  0.3673  0.1790
O  0.7055  0.5369  0.0727
O  0.7055  0.9631  0.5727
O  0.7240  0.6795  0.2667
O  0.7240  0.8205  0.7667
O  0.7437  0.2285  0.9891
O  0.7437  0.2715  0.4891
O  0.7563  0.7285  0.9891
O  0.7563  0.7715  0.4891
O  0.7760  0.1795  0.2667
O  0.7760  0.3205  0.7667
O  0.7945  0.0369  0.0727
O  0.7945  0.4631  0.5727
O  0.8915  0.6327  0.6790
O  0.8915  0.8673  0.1790
O  0.8928  0.5028  0.3285
O  0.8928  0.9972  0.8285
O  0.8959  0.1233  0.6118
O  0.8959  0.3767  0.1118
O  0.9005  0.0224  0.3713
O  0.9005  0.4776  0.8713
O  0.9892  0.6686  0.4118
O  0.9892  0.8314  0.9118

Entry 3:
TiNiP2O8 | GGA+U | relaxed

Results
E = -88.2 eV/f.u.
energy relative to the elements = -2.68 eV per atom
ΔE to the lowest computed polymorph = 12.0 meV/atom

Unit cell a=4.8875 b=9.9502 c=11.8208 alpha=89.99 beta=90.01 gamma=88.83
Fractional positions:
O  0.7055  0.8280  0.4781
O  0.7433  0.3276  0.4746
O  0.2569  0.6723  0.2247
O  0.7054  0.8280  0.9781
O  0.1527  0.4476  0.1250
O  0.7431  0.3277  0.2753
O  0.7999  0.6362  0.6251
O  0.2568  0.6723  0.7247
O  0.3561  0.9479  0.1250
O  0.7055  0.8281  0.2719
O  0.2946  0.1720  0.5219
O  0.7432  0.3277  0.9746
O  0.7462  0.1078  0.6251
O  0.2001  0.3637  0.3750
O  0.2538  0.8922  0.8749
O  0.2568  0.6723  0.5254
O  0.6438  0.0521  0.3750
O  0.2945  0.1719  0.2281
O  0.8473  0.5524  0.3750
O  0.1527  0.4476  0.6250
O  0.6438  0.0521  0.8750
O  0.8472  0.5524  0.8750
O  0.7432  0.3277  0.7753
O  0.2567  0.6724  0.0254
O  0.2001  0.3638  0.8749
O  0.2945  0.1719  0.7281
O  0.3562  0.9479  0.6250
O  0.7461  0.1078  0.1250
O  0.2539  0.8922  0.3750
O  0.7055  0.8281  0.7719
O  0.7999  0.6363  0.1250
O  0.2945  0.1720  0.0219
P  0.1076  0.5968  0.6250
P  0.5607  0.9016  0.8750
P  0.8924  0.4032  0.8750
P  0.4393  0.0984  0.6250
P  0.1076  0.5968  0.1250
P  0.5608  0.9015  0.3750
P  0.8924  0.4032  0.3750
P  0.4392  0.0985  0.1250
Ti  0.5287  0.7744  0.1250
Ti  0.5287  0.7744  0.6250
Ti  0.4713  0.2257  0.8750
Ti  0.4713  0.2256  0.3750
Ni  0.9628  0.2728  0.1250
Ni  0.0373  0.7272  0.3750
Ni  0.9631  0.2727  0.6251
Ni  0.0369  0.7273  0.8749

Entry 4:
Ba2YV3O7 | GGA+U | relaxed

Results
E = -97.7 eV/f.u.
energy relative to the elements = -2.72 eV per atom

Unit cell a=3.9004 b=4.1494 c=11.6326 alpha=90.00 beta=90.00 gamma=90.00
Fractional positions:
Ba  0.0000  0.0000  0.1777
Ba  0.0000  0.0000  0.8223
Y  0.0000  0.0000  0.5000
V  0.5000  0.5000  0.0000
V  0.5000  0.5000  0.3472
V  0.5000  0.5000  0.6528
O  0.0000  0.5000  0.3814
O  0.0000  0.5000  0.6186
O  0.5000  0.0000  0.0000
O  0.5000  0.0000  0.3739
O  0.5000  0.0000  0.6261
O  0.5000  0.5000  0.1748
O  0.5000  0.5000  0.8252

Entry 5:
Bi3SbW2O12 | GGA+U | relaxed

Results
E = -119.1 eV/f.u.
energy relative to the elements = -1.95 eV per atom

Unit cell a=5.4761 b=5.5145 c=8.9780 alpha=107.86 beta=90.11 gamma=90.21
Fractional positions:
Bi  0.0000  0.0000  0.0000
Bi  0.0602  0.3564  0.6906
Bi  0.4988  0.8530  0.6893
Sb  0.5648  0.4926  0.9823
W  0.0291  0.7382  0.3434
W  0.5297  0.2386  0.3426
O  0.1098  0.8937  0.5619
O  0.2592  0.7155  0.8413
O  0.2734  0.4924  0.3076
O  0.2779  0.9952  0.3061
O  0.3066  0.2219  0.8436
O  0.4500  0.3936  0.5611
O  0.6077  0.1786  0.1281
O  0.7571  0.7033  0.8462
O  0.7761  0.0326  0.3837
O  0.7791  0.5337  0.3845
O  0.7955  0.2159  0.8490
O  0.9500  0.6772  0.1280

Entry 6:
MgW4O12 | GGA+U | relaxed

Results
E = -123.3 eV/f.u.
energy relative to the elements = -2.15 eV per atom
ΔE to the lowest computed polymorph = 91.1 meV/atom

Unit cell a=6.6632 b=6.6632 c=6.6632 alpha=109.47 beta=109.47 gamma=109.47
Fractional positions:
Mg  0.0000  0.0000  0.0000
W  0.0000  0.0000  0.5000
W  0.0000  0.5000  0.0000
W  0.5000  0.0000  0.0000
W  0.5000  0.5000  0.5000
O  0.0578  0.2705  0.7874
O  0.2126  0.4831  0.2705
O  0.2126  0.9422  0.7295
O  0.2705  0.2126  0.4831
O  0.2705  0.7874  0.0578
O  0.4831  0.2705  0.2126
O  0.5169  0.7295  0.7874
O  0.7295  0.2126  0.9422
O  0.7295  0.7874  0.5169
O  0.7874  0.0578  0.2705
O  0.7874  0.5169  0.7295
O  0.9422  0.7295  0.2126

Entry 7:
Li8Mn3Fe5B8O24 | GGA+U | relaxed

Results
E = -339.5 eV/f.u.
energy relative to the elements = -2.40 eV per atom
ΔE to the lowest computed polymorph = 1.3 meV/atom

Unit cell a=5.2416 b=5.2427 c=20.8213 alpha=90.54 beta=90.86 gamma=119.89
Fractional positions:
Li  0.0000  0.0000  0.0000
Li  0.0006  0.0019  0.4990
Li  0.0245  0.9758  0.7493
Li  0.0265  0.9764  0.2482
Li  0.6829  0.6713  0.3742
Li  0.6857  0.6704  0.8738
Li  0.6949  0.6592  0.6236
Li  0.6990  0.6642  0.1241
Mn  0.0199  0.3305  0.8570
Mn  0.3482  0.6466  0.2326
Mn  0.6708  0.3232  0.4822
Fe  0.0225  0.3232  0.3568
Fe  0.3446  0.9922  0.6080
Fe  0.3547  0.6471  0.7309
Fe  0.3610  0.9944  0.1053
Fe  0.6642  0.3258  0.9824
B  0.0163  0.3302  0.1027
B  0.0169  0.3302  0.6043
B  0.3417  0.6599  0.9792
B  0.3439  0.6632  0.4783
B  0.3541  0.9911  0.8534
B  0.3538  0.9935  0.3537
B  0.6854  0.3199  0.7280
B  0.6863  0.3189  0.2283
O  0.0016  0.0584  0.5976
O  0.0021  0.0629  0.0965
O  0.0794  0.9669  0.8460
O  0.0816  0.9752  0.3475
O  0.0878  0.3934  0.9651
O  0.0943  0.3930  0.4628
O  0.2785  0.5820  0.1225
O  0.2805  0.5780  0.6235
O  0.3136  0.9004  0.4991
O  0.3228  0.9062  0.9976
O  0.3751  0.7428  0.3394
O  0.3868  0.7481  0.8376
O  0.4159  0.0654  0.7140
O  0.4159  0.0699  0.2128
O  0.5955  0.2534  0.8749
O  0.6026  0.2563  0.3727
O  0.6168  0.6815  0.9727
O  0.6205  0.6929  0.4717
O  0.7055  0.5936  0.7217
O  0.7161  0.5959  0.2213
O  0.7663  0.3561  0.0883
O  0.7668  0.3511  0.5900
O  0.9247  0.2897  0.2490
O  0.9309  0.3012  0.7469

Entry 8:
Li9Mn7O16 | GGA+U | relaxed

Results
E = -205.7 eV/f.u.
energy relative to the elements = -2.12 eV per atom
ΔE to the lowest computed polymorph = 21.6 meV/atom

Unit cell a=3.0085 b=9.9526 c=10.1632 alpha=77.90 beta=88.02 gamma=85.40
Fractional positions:
Li  0.0000  0.0000  0.0000
Li  0.0000  0.0000  0.5000
Li  0.0110  0.5086  0.2378
Li  0.4863  0.7402  0.1213
Li  0.4960  0.2489  0.3740
Li  0.5000  0.5000  0.0000
Li  0.5040  0.7511  0.6260
Li  0.5137  0.2598  0.8787
Li  0.9890  0.4914  0.7622
Mn  0.0014  0.7510  0.3734
Mn  0.0052  0.2593  0.1189
Mn  0.4903  0.9962  0.7486
Mn  0.5000  0.5000  0.5000
Mn  0.5097  0.0038  0.2514
Mn  0.9948  0.7407  0.8811
Mn  0.9986  0.2490  0.6266
O  0.0080  0.6362  0.0511
O  0.0274  0.1213  0.8048
O  0.0350  0.1280  0.3008
O  0.0359  0.6280  0.5522
O  0.4658  0.6225  0.3198
O  0.4665  0.1227  0.5716
O  0.4701  0.8636  0.9249
O  0.4739  0.3576  0.1777
O  0.5261  0.6424  0.8223
O  0.5299  0.1364  0.0751
O  0.5335  0.8773  0.4284
O  0.5342  0.3775  0.6802
O  0.9641  0.3720  0.4478
O  0.9650  0.8720  0.6992
O  0.9726  0.8787  0.1952
O  0.9920  0.3638  0.9489

Entry 9:
LiV3O8 | GGA+U | relaxed

Results
E = -86.0 eV/f.u.
energy relative to the elements = -2.32 eV per atom
ΔE to the lowest computed polymorph = 25.1 meV/atom

Unit cell a=6.8357 b=3.6452 c=12.0150 alpha=90.00 beta=104.38 gamma=90.00
Fractional positions:
Li  0.0000  0.0000  0.0000
Li  0.3486  0.5000  0.2690
V  0.0855  0.5000  0.5214
V  0.1286  0.5000  0.7836
V  0.5114  0.0000  0.8550
V  0.5581  0.0000  0.1192
V  0.6980  0.0000  0.4030
V  0.9399  0.5000  0.2423
O  0.0040  0.0000  0.4923
O  0.0606  0.5000  0.1374
O  0.1449  0.5000  0.3636
O  0.2128  0.0000  0.7793
O  0.3168  0.5000  0.5954
O  0.3224  0.0000  0.0434
O  0.4253  0.5000  0.8601
O  0.4866  0.0000  0.2712
O  0.5817  0.0000  0.5037
O  0.6280  0.5000  0.1469
O  0.6465  0.0000  0.7633
O  0.6907  0.0000  0.9960
O  0.7655  0.5000  0.3870
O  0.8640  0.0000  0.2436
O  0.9593  0.5000  0.6460
O  0.9992  0.5000  0.8827